No. 1
Nd4Zr3TiO14, relaxed, DFT PBE; SG = R-3m (166)
1.0
6.5500 -3.7823 0.0000
6.5500 3.7823 0.0000
4.3659 0.0000 6.1763
O Zr Nd Ti
14 3 4 1
Direct
0.0764 0.6822 0.0764
0.9160 0.3389 0.3389
0.3178 0.9236 0.9236
0.6822 0.0764 0.0764
0.3740 0.3740 0.3740
0.3389 0.9160 0.3389
0.0840 0.6611 0.6611
0.9236 0.9236 0.3178
0.3389 0.3389 0.9160
0.9236 0.3178 0.9236
0.6611 0.6611 0.0840
0.6260 0.6260 0.6260
0.6611 0.0840 0.6611
0.0764 0.0764 0.6822
0.0000 0.5000 0.0000
0.0000 0.0000 0.5000
0.5000 0.0000 0.0000
0.5000 0.5000 0.5000
0.5000 0.5000 0.0000
0.0000 0.5000 0.5000
0.5000 0.0000 0.5000
0.0000 0.0000 0.0000

No. 2
KNdF4, relaxed, DFT PBE; SG = Pnma (62)
1.0
-1.9115 3.2572 -0.0950
-0.9302 -0.3645 6.2174
13.3997 7.9359 2.4699
F K Nd
16 4 4
Direct
0.2500 0.1344 0.4648
0.7500 0.8940 0.3650
0.2500 0.6344 0.0352
0.7500 0.9123 0.8063
0.7500 0.3656 0.9648
0.7500 0.4959 0.4419
0.2500 0.5877 0.3063
0.7500 0.3940 0.1350
0.2500 0.5041 0.5581
0.7500 0.4123 0.6937
0.7500 0.8656 0.5352
0.2500 0.0877 0.1937
0.2500 0.0041 0.9419
0.2500 0.6060 0.8650
0.2500 0.1060 0.6350
0.7500 0.9959 0.0581
0.7500 0.2769 0.2983
0.7500 0.7769 0.2017
0.2500 0.7231 0.7017
0.2500 0.2231 0.7983
0.2500 0.7509 0.4385
0.7500 0.7491 0.9385
0.2500 0.2509 0.0615
0.7500 0.2491 0.5615

No. 3
Rb3Na, relaxed, DFT PBE; SG = Fm-3m (225)
1.0
1.4021 -7.3223 -0.2429
-3.9365 -4.6943 4.2554
-4.9272 -4.6388 -3.1376
Rb Na
3 1
Direct
0.2500 0.2500 0.2500
0.5000 0.5000 0.5000
0.7500 0.7500 0.7500
0.0000 0.0000 0.0000

E_tot
In order: -8.905, -5.929, -1.024
Unit: eV per atom